Entry from Materials Project: crystalline CsAsOF4 at its relaxed geometry (PBE).

extended XYZ file:
```
28
Lattice="-0.276 -5.076 -4.332 1.499 -3.367 3.850 -13.223 -3.113 4.490" Properties=species:S:1:pos:R:3 pbc="T T T"
As -4.216 -6.578 3.933
F -8.505 -6.062 1.315
As -7.783 -4.978 0.075
F -11.192 -7.753 0.292
Cs -10.466 -7.794 3.385
F -4.485 -4.438 -0.453
F -1.968 -5.879 -2.102
F -5.205 -5.160 4.460
F -7.501 -8.881 2.717
F -11.133 -4.670 3.163
F -0.148 -4.193 -2.144
F -0.807 -3.803 3.717
Cs -1.533 -3.762 0.624
F -7.514 -7.118 4.462
F -10.031 -5.678 6.111
As -1.251 -4.870 -3.406
O -5.479 -7.195 2.753
Cs -8.074 -4.029 3.969
O -12.181 -10.423 3.571
O -6.520 -4.362 1.256
As -10.749 -6.686 7.415
F -6.794 -6.396 -0.451
F -0.866 -6.886 0.846
F -11.851 -7.364 6.153
F -3.495 -5.494 2.694
Cs -3.925 -7.527 0.039
O 0.182 -1.133 0.438
F -4.498 -2.675 1.292
```

Values from the calculation:
DFT total energy in eV per atom: -4.82
E_form in eV per atom: -2.590
Space-group type: No. 14

=====

Entry from Materials Project: crystalline Sr2MgCuBr2O2 at its relaxed geometry (PBE).

extended XYZ file:
```
8
Lattice="-2.921 -1.907 1.943 2.435 -3.104 0.614 4.123 7.715 9.668" Properties=species:S:1:pos:R:3 pbc="T T T"
Mg 0.479 1.651 6.445
Cu 0.000 0.000 0.000
O 5.097 3.657 11.253
Sr 0.260 -1.831 2.696
O 1.218 -1.552 0.308
Br 2.640 1.366 9.413
Br 0.997 1.338 2.812
Sr 3.377 4.535 9.529
```

Values from the calculation:
DFT total energy in eV per atom: -4.37
E_form in eV per atom: -1.756
Space-group type: No. 119
E above lowest polymorph in eV/atom: 0.0010
Total magnetic moment in μB per cell: 0.0

=====

Entry from Materials Project: crystalline K3YN6 at its relaxed geometry (PBE).

extended XYZ file:
```
20
Lattice="5.480 -5.646 0.000 5.480 5.646 0.000 -0.337 0.000 7.861" Properties=species:S:1:pos:R:3 pbc="T T T"
N 3.827 -1.904 2.485
N 2.597 0.710 4.146
N 4.376 4.470 5.422
Y 2.681 0.000 1.984
N 6.248 4.470 2.440
K 3.292 1.961 6.661
N 4.559 1.193 1.496
K 5.312 -3.921 3.931
N 8.027 0.710 3.715
N 8.245 -0.715 0.193
N 6.066 1.193 6.366
N 6.798 -1.904 5.377
K 3.476 3.700 2.709
K 5.480 -1.755 0.000
K 7.332 1.961 1.201
Y 7.943 0.000 5.877
N 6.985 -3.755 1.444
K 1.668 -1.946 5.152
N 2.379 -0.715 7.669
N 3.639 -3.755 6.417
```

Values from the calculation:
DFT total energy in eV per atom: -4.51
E_form in eV per atom: 1.258
Space-group type: No. 155
Total magnetic moment in μB per cell: 24.0

=====

Entry from Materials Project: crystalline CrFeP at its relaxed geometry (PBE).

extended XYZ file:
```
12
Lattice="-1.853 2.983 0.399 -2.805 -1.086 -4.905 -4.577 -3.291 3.346" Properties=species:S:1:pos:R:3 pbc="T T T"
Fe -6.362 -0.542 -2.018
Cr -4.907 0.617 -3.920
P -4.900 -0.069 1.234
P -1.771 0.052 -0.789
Fe -2.553 -0.158 -2.853
Cr -4.999 -2.029 -0.226
Fe -6.681 -1.237 1.694
P -4.334 -1.326 -2.393
Fe -2.873 -0.853 0.859
Cr -4.236 0.634 -0.933
Cr -4.328 -2.012 2.761
P -7.463 -1.447 -0.370
```

Values from the calculation:
DFT total energy in eV per atom: -8.40
E_form in eV per atom: -0.558
Space-group type: No. 62